Compound: Na5Ta3GaSi5PO24
Source: Materials Project
Functional: PBE
Structure: optimized geometry

Cell lengths 8.936, 8.947, 22.437 Å; angles 89.96, 89.78, 60.15 degrees
Element x y z (fractional)
Na 0.000 0.000 0.000
Na 0.001 0.007 0.496
Na 0.312 0.660 0.584
Na 0.325 0.707 0.913
Na 0.334 0.331 0.164
Na 0.335 0.326 0.666
Na 0.375 0.635 0.248
Na 0.637 0.989 0.247
Na 0.656 0.667 0.824
Na 0.667 0.026 0.584
Na 0.668 0.666 0.333
Na 0.708 0.968 0.914
Na 0.970 0.323 0.914
Na 0.991 0.373 0.247
Na 0.993 0.637 0.745
Ta 0.002 0.998 0.356
Ta 0.004 0.999 0.646
Ta 0.330 0.333 0.521
Ta 0.335 0.328 0.022
Ta 0.335 0.332 0.314
Ta 0.339 0.333 0.811
Ta 0.668 0.665 0.478
Ta 0.672 0.664 0.982
Ta 0.998 0.002 0.144
Ga 0.008 0.996 0.851
Ga 0.654 0.668 0.683
Ga 0.672 0.668 0.186
Si 0.000 0.710 0.249
Si 0.042 0.333 0.417
Si 0.047 0.624 0.916
Si 0.294 0.995 0.249
Si 0.301 0.713 0.752
Si 0.332 0.043 0.916
Si 0.335 0.624 0.417
Si 0.384 0.953 0.585
Si 0.625 0.041 0.417
Si 0.628 0.329 0.916
Si 0.668 0.954 0.087
Si 0.671 0.379 0.585
Si 0.712 0.292 0.250
Si 0.951 0.661 0.588
Si 0.956 0.378 0.087
P 0.379 0.665 0.085
P 0.714 0.997 0.752
P 0.998 0.289 0.753
O 0.020 0.815 0.911
O 0.024 0.170 0.698
O 0.027 0.160 0.411
O 0.041 0.800 0.192
O 0.133 0.495 0.858
O 0.135 0.360 0.357
O 0.147 0.359 0.076
O 0.151 0.503 0.578
O 0.161 0.026 0.912
O 0.162 0.037 0.192
O 0.162 0.811 0.410
O 0.168 0.305 0.473
O 0.168 0.802 0.694
O 0.169 0.302 0.756
O 0.174 0.527 0.972
O 0.176 0.519 0.255
O 0.191 0.970 0.592
O 0.198 0.966 0.306
O 0.200 0.829 0.088
O 0.207 0.820 0.812
O 0.302 0.169 0.973
O 0.302 0.523 0.756
O 0.308 0.171 0.255
O 0.308 0.532 0.476
O 0.360 0.504 0.075
O 0.361 0.145 0.577
O 0.362 0.503 0.358
O 0.373 0.135 0.859
O 0.466 0.827 0.527
O 0.469 0.690 0.028
O 0.482 0.825 0.244
O 0.488 0.634 0.141
O 0.491 0.688 0.745
O 0.495 0.369 0.859
O 0.500 0.147 0.076
O 0.501 0.352 0.576
O 0.505 0.134 0.358
O 0.505 0.852 0.924
O 0.507 0.877 0.642
O 0.508 0.640 0.422
O 0.522 0.304 0.255
O 0.531 0.164 0.756
O 0.532 0.298 0.973
O 0.533 0.162 0.476
O 0.620 0.503 0.642
O 0.631 0.875 0.146
O 0.638 0.507 0.923
O 0.641 0.853 0.423
O 0.688 0.482 0.244
O 0.692 0.836 0.026
O 0.700 0.834 0.746
O 0.701 0.467 0.526
O 0.798 0.028 0.695
O 0.803 0.159 0.193
O 0.813 0.026 0.410
O 0.817 0.161 0.909
O 0.823 0.972 0.808
O 0.827 0.704 0.529
O 0.830 0.690 0.246
O 0.835 0.181 0.592
O 0.838 0.468 0.026
O 0.839 0.197 0.306
O 0.844 0.969 0.089
O 0.847 0.473 0.746
O 0.856 0.506 0.423
O 0.856 0.637 0.923
O 0.872 0.634 0.649
O 0.873 0.492 0.146
O 0.969 0.836 0.306
O 0.974 0.208 0.810
O 0.974 0.837 0.593
O 0.980 0.184 0.089

Uncorrected energy (eV per formula unit): -296.31
DFT formation energy (eV per atom): -2.9819

---

Compound: Na2Ta3GaSi2P4O24
Source: Materials Project
Functional: PBE
Structure: optimized geometry

Cell lengths 8.741, 8.751, 22.674 Å; angles 89.95, 89.94, 60.05 degrees
Element x y z (fractional)
Na 0.000 0.000 0.000
Na 0.001 0.999 0.504
Na 0.334 0.331 0.666
Na 0.337 0.331 0.165
Na 0.667 0.667 0.831
Na 0.670 0.667 0.337
Ta 0.006 0.998 0.853
Ta 0.331 0.337 0.521
Ta 0.332 0.333 0.312
Ta 0.334 0.330 0.810
Ta 0.335 0.333 0.018
Ta 0.666 0.669 0.685
Ta 0.667 0.667 0.976
Ta 0.668 0.668 0.187
Ta 0.998 0.996 0.354
Ga 0.003 0.001 0.646
Ga 0.673 0.667 0.480
Ga 0.997 0.002 0.146
Si 0.036 0.622 0.417
Si 0.048 0.332 0.915
Si 0.284 0.001 0.745
Si 0.333 0.620 0.914
Si 0.623 0.047 0.915
Si 0.716 0.003 0.246
P 0.002 0.282 0.247
P 0.002 0.716 0.746
P 0.284 0.716 0.247
P 0.339 0.041 0.416
P 0.372 0.955 0.083
P 0.378 0.674 0.579
P 0.621 0.339 0.416
P 0.673 0.372 0.082
P 0.676 0.952 0.580
P 0.717 0.283 0.746
P 0.951 0.374 0.580
P 0.957 0.672 0.082
O 0.024 0.162 0.907
O 0.030 0.813 0.407
O 0.032 0.795 0.691
O 0.038 0.172 0.192
O 0.134 0.368 0.857
O 0.139 0.500 0.077
O 0.139 0.501 0.358
O 0.140 0.358 0.574
O 0.160 0.813 0.908
O 0.163 0.311 0.256
O 0.165 0.529 0.755
O 0.167 0.031 0.406
O 0.167 0.035 0.688
O 0.169 0.300 0.974
O 0.171 0.527 0.472
O 0.175 0.793 0.192
O 0.192 0.973 0.090
O 0.193 0.829 0.588
O 0.200 0.968 0.805
O 0.204 0.829 0.303
O 0.302 0.530 0.974
O 0.306 0.162 0.470
O 0.310 0.528 0.257
O 0.313 0.171 0.755
O 0.361 0.138 0.077
O 0.363 0.133 0.360
O 0.366 0.498 0.574
O 0.369 0.499 0.857
O 0.465 0.697 0.525
O 0.465 0.841 0.028
O 0.474 0.690 0.240
O 0.485 0.825 0.739
O 0.496 0.864 0.137
O 0.498 0.638 0.636
O 0.498 0.860 0.422
O 0.499 0.134 0.857
O 0.502 0.360 0.076
O 0.503 0.138 0.574
O 0.505 0.642 0.925
O 0.507 0.359 0.360
O 0.517 0.171 0.257
O 0.528 0.312 0.755
O 0.532 0.168 0.974
O 0.537 0.300 0.470
O 0.638 0.502 0.422
O 0.640 0.866 0.636
O 0.641 0.494 0.137
O 0.641 0.854 0.925
O 0.692 0.827 0.240
O 0.693 0.467 0.028
O 0.697 0.471 0.740
O 0.700 0.841 0.526
O 0.793 0.173 0.691
O 0.799 0.037 0.188
O 0.806 0.171 0.407
O 0.815 0.025 0.907
O 0.828 0.202 0.803
O 0.835 0.976 0.590
O 0.836 0.470 0.240
O 0.836 0.969 0.305
O 0.837 0.690 0.740
O 0.838 0.192 0.087
O 0.841 0.693 0.028
O 0.842 0.461 0.526
O 0.845 0.644 0.422
O 0.854 0.506 0.925
O 0.866 0.640 0.137
O 0.870 0.494 0.636
O 0.968 0.827 0.803
O 0.972 0.202 0.303
O 0.975 0.191 0.588
O 0.977 0.833 0.088

Uncorrected energy (eV per formula unit): -283.05
DFT formation energy (eV per atom): -2.9732

---

Compound: Na3Ta2Ga2SiP5O24
Source: Materials Project
Functional: PBE
Structure: optimized geometry

Cell lengths 8.709, 8.734, 22.355 Å; angles 89.84, 89.91, 60.10 degrees
Element x y z (fractional)
Na 0.000 0.000 0.000
Na 0.007 0.003 0.500
Na 0.016 0.347 0.747
Na 0.036 0.658 0.582
Na 0.307 0.662 0.078
Na 0.343 0.307 0.168
Na 0.361 0.311 0.667
Na 0.665 0.664 0.835
Na 0.676 0.652 0.334
Ta 0.008 0.981 0.850
Ta 0.008 0.987 0.349
Ta 0.342 0.314 0.015
Ta 0.342 0.316 0.515
Ta 0.674 0.657 0.184
Ta 0.675 0.654 0.682
Ga 0.008 0.994 0.142
Ga 0.009 0.990 0.642
Ga 0.342 0.318 0.308
Ga 0.342 0.326 0.808
Ga 0.670 0.656 0.975
Ga 0.679 0.645 0.474
Si 0.019 0.695 0.741
Si 0.381 0.940 0.076
Si 0.958 0.354 0.575
P 0.017 0.272 0.243
P 0.045 0.329 0.908
P 0.049 0.604 0.409
P 0.293 0.692 0.242
P 0.297 0.989 0.744
P 0.351 0.604 0.910
P 0.352 0.025 0.408
P 0.387 0.659 0.574
P 0.624 0.029 0.908
P 0.625 0.328 0.408
P 0.677 0.939 0.575
P 0.685 0.361 0.076
P 0.716 0.269 0.743
P 0.718 0.994 0.243
P 0.956 0.660 0.075
O 0.034 0.156 0.906
O 0.038 0.790 0.403
O 0.041 0.781 0.680
O 0.042 0.162 0.188
O 0.128 0.349 0.851
O 0.139 0.492 0.354
O 0.148 0.492 0.070
O 0.154 0.349 0.570
O 0.164 0.523 0.467
O 0.170 0.298 0.964
O 0.177 0.296 0.251
O 0.177 0.793 0.905
O 0.178 0.013 0.404
O 0.178 0.027 0.689
O 0.179 0.495 0.749
O 0.188 0.961 0.085
O 0.190 0.773 0.185
O 0.197 0.811 0.581
O 0.204 0.814 0.298
O 0.208 0.961 0.801
O 0.317 0.146 0.465
O 0.318 0.508 0.251
O 0.318 0.525 0.968
O 0.322 0.148 0.752
O 0.368 0.135 0.071
O 0.369 0.496 0.855
O 0.372 0.485 0.569
O 0.375 0.112 0.353
O 0.468 0.813 0.020
O 0.469 0.686 0.519
O 0.477 0.816 0.739
O 0.481 0.677 0.239
O 0.501 0.628 0.631
O 0.506 0.356 0.070
O 0.508 0.125 0.570
O 0.510 0.842 0.417
O 0.510 0.848 0.136
O 0.512 0.628 0.915
O 0.513 0.117 0.853
O 0.517 0.348 0.352
O 0.533 0.151 0.250
O 0.533 0.292 0.752
O 0.538 0.147 0.965
O 0.541 0.295 0.465
O 0.642 0.856 0.632
O 0.646 0.483 0.132
O 0.650 0.488 0.415
O 0.652 0.844 0.916
O 0.702 0.456 0.738
O 0.707 0.824 0.520
O 0.708 0.818 0.238
O 0.713 0.442 0.020
O 0.800 0.162 0.687
O 0.805 0.016 0.187
O 0.809 0.020 0.904
O 0.814 0.154 0.403
O 0.834 0.678 0.738
O 0.835 0.963 0.299
O 0.837 0.176 0.085
O 0.840 0.190 0.799
O 0.840 0.958 0.583
O 0.844 0.456 0.238
O 0.845 0.450 0.518
O 0.849 0.683 0.020
O 0.863 0.490 0.917
O 0.863 0.634 0.416
O 0.875 0.485 0.636
O 0.878 0.621 0.133
O 0.983 0.822 0.800
O 0.985 0.183 0.300
O 0.986 0.816 0.084
O 0.989 0.160 0.585

Uncorrected energy (eV per formula unit): -272.37
DFT formation energy (eV per atom): -2.8073

---

Compound: Na3Ta3GaSi3P3O24
Source: Materials Project
Functional: PBE
Structure: optimized geometry

Cell lengths 8.794, 8.815, 22.625 Å; angles 89.99, 89.93, 60.10 degrees
Element x y z (fractional)
Na 0.000 0.000 0.000
Na 0.005 0.995 0.506
Na 0.325 0.338 0.835
Na 0.333 0.336 0.334
Na 0.371 0.639 0.752
Na 0.636 0.999 0.751
Na 0.665 0.668 0.170
Na 0.674 0.665 0.668
Na 0.705 0.327 0.585
Ta 0.330 0.335 0.685
Ta 0.331 0.335 0.188
Ta 0.332 0.338 0.978
Ta 0.334 0.337 0.479
Ta 0.659 0.670 0.022
Ta 0.665 0.667 0.521
Ta 0.996 0.003 0.855
Ta 0.996 0.004 0.356
Ta 0.999 0.001 0.144
Ga 0.662 0.667 0.314
Ga 0.671 0.653 0.816
Ga 0.997 0.006 0.644
Si 0.044 0.621 0.083
Si 0.045 0.330 0.582
Si 0.319 0.636 0.583
Si 0.331 0.050 0.083
Si 0.378 0.668 0.913
Si 0.619 0.334 0.083
Si 0.624 0.042 0.583
Si 0.661 0.387 0.413
Si 0.715 0.296 0.747
P 0.284 0.002 0.749
P 0.292 0.714 0.250
P 0.382 0.954 0.413
P 0.663 0.952 0.914
P 0.710 0.995 0.251
P 0.949 0.666 0.413
P 0.951 0.384 0.915
P 0.993 0.295 0.250
P 0.993 0.716 0.749
O 0.015 0.166 0.588
O 0.023 0.173 0.305
O 0.024 0.814 0.092
O 0.031 0.800 0.805
O 0.133 0.368 0.640
O 0.135 0.500 0.141
O 0.135 0.506 0.422
O 0.138 0.356 0.923
O 0.152 0.822 0.591
O 0.161 0.026 0.093
O 0.164 0.305 0.244
O 0.164 0.308 0.525
O 0.164 0.533 0.745
O 0.167 0.532 0.025
O 0.169 0.029 0.805
O 0.171 0.804 0.305
O 0.181 0.842 0.909
O 0.195 0.827 0.195
O 0.196 0.971 0.407
O 0.205 0.964 0.695
O 0.299 0.169 0.024
O 0.302 0.170 0.745
O 0.302 0.532 0.526
O 0.303 0.532 0.244
O 0.352 0.140 0.423
O 0.353 0.496 0.922
O 0.362 0.140 0.141
O 0.368 0.502 0.642
O 0.464 0.840 0.470
O 0.470 0.697 0.972
O 0.471 0.698 0.254
O 0.472 0.846 0.756
O 0.488 0.637 0.853
O 0.492 0.877 0.359
O 0.494 0.356 0.422
O 0.496 0.367 0.141
O 0.500 0.132 0.643
O 0.501 0.138 0.922
O 0.504 0.858 0.075
O 0.505 0.636 0.574
O 0.516 0.311 0.745
O 0.526 0.172 0.527
O 0.528 0.166 0.244
O 0.530 0.302 0.025
O 0.629 0.503 0.356
O 0.635 0.855 0.575
O 0.637 0.875 0.857
O 0.641 0.505 0.075
O 0.680 0.493 0.754
O 0.691 0.833 0.257
O 0.694 0.839 0.969
O 0.695 0.468 0.474
O 0.801 0.025 0.305
O 0.803 0.164 0.805
O 0.809 0.033 0.589
O 0.811 0.163 0.092
O 0.823 0.976 0.196
O 0.824 0.205 0.689
O 0.828 0.700 0.759
O 0.829 0.975 0.908
O 0.832 0.476 0.255
O 0.836 0.701 0.470
O 0.837 0.188 0.407
O 0.838 0.467 0.970
O 0.851 0.508 0.575
O 0.852 0.643 0.074
O 0.869 0.639 0.358
O 0.876 0.493 0.859
O 0.961 0.830 0.695
O 0.969 0.198 0.908
O 0.973 0.200 0.196
O 0.973 0.831 0.407

Uncorrected energy (eV per formula unit): -287.51
DFT formation energy (eV per atom): -2.9774